1.
Density functional theory data (GGA-PBE) for RbGaBr4 after structural relaxation.

Cell lengths 12.304, 7.783, 10.264 Å; angles 90.00, 90.00, 90.00 degrees
Fractional coordinates of all 24 atoms:
Rb  0.184  0.250  0.160
Rb  0.316  0.750  0.660
Rb  0.684  0.250  0.340
Rb  0.816  0.750  0.840
Ga  0.063  0.250  0.690
Ga  0.437  0.750  0.190
Ga  0.563  0.250  0.810
Ga  0.937  0.750  0.310
Br  0.083  0.004  0.826
Br  0.083  0.496  0.826
Br  0.111  0.750  0.402
Br  0.203  0.250  0.533
Br  0.297  0.750  0.033
Br  0.389  0.250  0.902
Br  0.417  0.504  0.326
Br  0.417  0.996  0.326
Br  0.583  0.004  0.674
Br  0.583  0.496  0.674
Br  0.611  0.750  0.098
Br  0.703  0.250  0.967
Br  0.797  0.750  0.467
Br  0.889  0.250  0.598
Br  0.917  0.504  0.174
Br  0.917  0.996  0.174

## Properties
- DFT formation energy (eV per atom) = -1.58

---

2.
Density functional theory data (GGA-PBE) for TiCrCuS4 after structural relaxation.

Cell lengths 5.767, 3.387, 11.498 Å; angles 90.00, 90.41, 90.00 degrees
Fractional coordinates of all 14 atoms:
Ti  0.244  0.250  0.005
Ti  0.756  0.750  0.995
Cr  0.303  0.250  0.496
Cr  0.697  0.750  0.504
Cu  0.239  0.250  0.740
Cu  0.761  0.750  0.260
S  0.085  0.750  0.131
S  0.088  0.750  0.601
S  0.405  0.750  0.371
S  0.413  0.750  0.874
S  0.587  0.250  0.126
S  0.595  0.250  0.629
S  0.912  0.250  0.399
S  0.915  0.250  0.869

## Properties
- DFT formation energy (eV per atom) = -1.09

---

3.
Density functional theory data (GGA-PBE) for B5H2Pb2O11 after structural relaxation.

Cell lengths 6.700, 11.518, 13.076 Å; angles 90.00, 119.82, 90.00 degrees
Fractional coordinates of all 80 atoms:
B  0.016  0.191  0.227
B  0.016  0.309  0.727
B  0.237  0.009  0.241
B  0.237  0.491  0.741
B  0.280  0.722  0.960
B  0.280  0.778  0.460
B  0.342  0.714  0.787
B  0.342  0.786  0.287
B  0.447  0.201  0.317
B  0.447  0.299  0.817
B  0.553  0.701  0.183
B  0.553  0.799  0.683
B  0.658  0.214  0.713
B  0.658  0.286  0.213
B  0.720  0.222  0.540
B  0.720  0.278  0.040
B  0.763  0.509  0.259
B  0.763  0.991  0.759
B  0.984  0.691  0.273
B  0.984  0.809  0.773
H  0.296  0.530  0.488
H  0.296  0.970  0.988
H  0.305  0.066  0.499
H  0.305  0.434  0.999
H  0.695  0.566  0.001
H  0.695  0.934  0.501
H  0.704  0.030  0.012
H  0.704  0.470  0.512
Pb  0.157  0.216  0.982
Pb  0.157  0.284  0.482
Pb  0.205  0.022  0.687
Pb  0.205  0.478  0.187
Pb  0.795  0.522  0.813
Pb  0.795  0.978  0.313
Pb  0.843  0.716  0.518
Pb  0.843  0.784  0.018
O  0.031  0.068  0.197
O  0.031  0.432  0.697
O  0.048  0.738  0.881
O  0.048  0.762  0.381
O  0.152  0.072  0.491
O  0.152  0.428  0.991
O  0.163  0.694  0.239
O  0.163  0.806  0.739
O  0.224  0.607  0.723
O  0.224  0.893  0.223
O  0.238  0.234  0.322
O  0.238  0.266  0.822
O  0.341  0.727  0.075
O  0.341  0.773  0.575
O  0.402  0.028  0.044
O  0.402  0.472  0.544
O  0.429  0.702  0.919
O  0.429  0.798  0.419
O  0.443  0.069  0.301
O  0.443  0.431  0.801
O  0.450  0.240  0.718
O  0.450  0.260  0.218
O  0.550  0.740  0.782
O  0.550  0.760  0.282
O  0.557  0.569  0.199
O  0.557  0.931  0.699
O  0.571  0.202  0.581
O  0.571  0.298  0.081
O  0.598  0.528  0.456
O  0.598  0.972  0.956
O  0.659  0.227  0.425
O  0.659  0.273  0.925
O  0.762  0.734  0.178
O  0.762  0.766  0.678
O  0.776  0.107  0.777
O  0.776  0.393  0.277
O  0.837  0.194  0.261
O  0.837  0.306  0.761
O  0.848  0.572  0.009
O  0.848  0.928  0.509
O  0.952  0.238  0.619
O  0.952  0.262  0.119
O  0.969  0.568  0.303
O  0.969  0.932  0.803

## Properties
- DFT formation energy (eV per atom) = -2.28

---

4.
Density functional theory data (GGA-PBE) for TbCeO4 after structural relaxation.

Cell lengths 6.556, 6.556, 6.556 Å; angles 129.46, 129.46, 74.26 degrees
Fractional coordinates of all 12 atoms:
Tb  0.375  0.625  0.750
Tb  0.625  0.375  0.250
Ce  0.125  0.875  0.250
Ce  0.875  0.125  0.750
O  0.000  0.246  0.246
O  0.000  0.754  0.754
O  0.246  0.000  0.746
O  0.246  0.500  0.246
O  0.500  0.246  0.746
O  0.500  0.754  0.254
O  0.754  0.000  0.254
O  0.754  0.500  0.754

## Properties
- DFT formation energy (eV per atom) = -3.55

---

5.
Density functional theory data (GGA-PBE) for Ba2Sr3CaMg2Si4O16 after structural relaxation.

Cell lengths 5.546, 5.546, 14.084 Å; angles 90.00, 90.00, 120.00 degrees
Fractional coordinates of all 28 atoms:
Ba  0.000  0.000  0.000
Ba  0.000  0.000  0.498
Sr  0.333  0.667  0.668
Sr  0.667  0.333  0.329
Sr  0.667  0.333  0.830
Ca  0.333  0.667  0.165
Mg  0.000  0.000  0.248
Mg  0.000  0.000  0.749
Si  0.333  0.667  0.382
Si  0.333  0.667  0.887
Si  0.667  0.333  0.113
Si  0.667  0.333  0.614
O  0.175  0.350  0.336
O  0.175  0.351  0.839
O  0.175  0.825  0.336
O  0.175  0.825  0.839
O  0.333  0.667  0.002
O  0.333  0.667  0.497
O  0.350  0.175  0.160
O  0.350  0.175  0.661
O  0.649  0.825  0.839
O  0.650  0.825  0.336
O  0.667  0.333  0.499
O  0.667  0.333  0.999
O  0.825  0.175  0.160
O  0.825  0.175  0.661
O  0.825  0.650  0.160
O  0.825  0.650  0.661

## Properties
- DFT formation energy (eV per atom) = -3.37

---

6.
Density functional theory data (GGA-PBE) for SrSiO2F6 after structural relaxation.

Cell lengths 6.026, 9.914, 11.445 Å; angles 90.00, 114.27, 90.00 degrees
Fractional coordinates of all 40 atoms:
Sr  0.215  0.223  0.051
Sr  0.215  0.277  0.551
Sr  0.785  0.723  0.449
Sr  0.785  0.777  0.949
Si  0.140  0.529  0.255
Si  0.140  0.971  0.755
Si  0.860  0.029  0.245
Si  0.860  0.471  0.745
O  0.187  0.567  0.603
O  0.187  0.933  0.103
O  0.404  0.669  0.008
O  0.404  0.831  0.508
O  0.596  0.169  0.492
O  0.596  0.331  0.992
O  0.813  0.067  0.897
O  0.813  0.433  0.397
F  0.010  0.620  0.117
F  0.010  0.637  0.329
F  0.010  0.863  0.829
F  0.010  0.880  0.617
F  0.114  0.570  0.793
F  0.114  0.930  0.293
F  0.270  0.063  0.895
F  0.270  0.437  0.395
F  0.273  0.077  0.685
F  0.273  0.423  0.185
F  0.389  0.632  0.305
F  0.389  0.868  0.805
F  0.611  0.132  0.195
F  0.611  0.368  0.695
F  0.727  0.577  0.815
F  0.727  0.923  0.315
F  0.730  0.563  0.605
F  0.730  0.937  0.105
F  0.886  0.070  0.707
F  0.886  0.430  0.207
F  0.990  0.120  0.383
F  0.990  0.137  0.171
F  0.990  0.363  0.671
F  0.990  0.380  0.883

## Properties
- DFT formation energy (eV per atom) = -2.58

---

7.
Density functional theory data (GGA-PBE) for U4SiNi7 after structural relaxation.

Cell lengths 5.075, 5.075, 7.855 Å; angles 90.00, 90.00, 120.00 degrees
Fractional coordinates of all 12 atoms:
U  0.333  0.667  0.082
U  0.333  0.667  0.437
U  0.667  0.333  0.563
U  0.667  0.333  0.918
Si  0.000  0.000  0.000
Ni  0.000  0.000  0.500
Ni  0.168  0.336  0.754
Ni  0.168  0.832  0.754
Ni  0.336  0.168  0.246
Ni  0.664  0.832  0.754
Ni  0.832  0.168  0.246
Ni  0.832  0.664  0.246

## Properties
- DFT formation energy (eV per atom) = -0.32

---

8.
Density functional theory data (GGA-PBE) for Ge after structural relaxation.

Cell lengths 4.050, 4.050, 10.993 Å; angles 90.00, 90.00, 120.00 degrees
Fractional coordinates of all 4 atoms:
Ge  0.000  0.000  0.000
Ge  0.000  0.000  0.500
Ge  0.333  0.667  0.437
Ge  0.667  0.333  0.937

## Properties
- DFT formation energy (eV per atom) = 0.48

---

9.
Density functional theory data (GGA-PBE) for CaMg14Fe after structural relaxation.

Cell lengths 10.249, 6.449, 6.449 Å; angles 59.55, 90.00, 90.00 degrees
Fractional coordinates of all 16 atoms:
Ca  0.000  0.000  0.000
Mg  0.000  0.012  0.492
Mg  0.000  0.492  0.012
Mg  0.233  0.657  0.657
Mg  0.249  0.175  0.654
Mg  0.249  0.654  0.175
Mg  0.260  0.166  0.166
Mg  0.500  0.498  0.498
Mg  0.500  0.502  0.994
Mg  0.500  0.994  0.502
Mg  0.500  0.996  0.996
Mg  0.740  0.166  0.166
Mg  0.751  0.175  0.654
Mg  0.751  0.654  0.175
Mg  0.767  0.657  0.657
Fe  0.000  0.487  0.487

## Properties
- DFT formation energy (eV per atom) = 0.09

---

10.
Density functional theory data (GGA-PBE) for Ba2MgCuP2O8 after structural relaxation.

Cell lengths 6.985, 6.985, 7.158 Å; angles 94.02, 94.02, 48.31 degrees
Fractional coordinates of all 14 atoms:
Ba  0.000  0.000  0.000
Ba  0.711  0.711  0.596
Mg  0.489  0.489  0.270
Cu  0.297  0.297  0.178
P  0.021  0.021  0.538
P  0.708  0.708  0.118
O  0.117  0.117  0.686
O  0.246  0.805  0.411
O  0.511  0.944  0.247
O  0.586  0.586  0.049
O  0.778  0.778  0.953
O  0.805  0.246  0.411
O  0.919  0.919  0.643
O  0.944  0.511  0.247

## Properties
- DFT formation energy (eV per atom) = -2.69

---

11.
Density functional theory data (GGA-PBE) for La5Si3 after structural relaxation.

Cell lengths 8.993, 8.993, 6.821 Å; angles 90.00, 90.00, 120.00 degrees
Fractional coordinates of all 16 atoms:
La  0.000  0.252  0.250
La  0.000  0.748  0.750
La  0.252  0.000  0.250
La  0.252  0.252  0.750
La  0.333  0.667  0.000
La  0.333  0.667  0.500
La  0.667  0.333  0.000
La  0.667  0.333  0.500
La  0.748  0.000  0.750
La  0.748  0.748  0.250
Si  0.000  0.391  0.750
Si  0.000  0.609  0.250
Si  0.391  0.000  0.750
Si  0.391  0.391  0.250
Si  0.609  0.000  0.250
Si  0.609  0.609  0.750

## Properties
- DFT formation energy (eV per atom) = -0.53

---

12.
Density functional theory data (GGA-PBE) for Mg6SiB after structural relaxation.

Cell lengths 3.976, 6.287, 6.287 Å; angles 76.48, 90.00, 90.00 degrees
Fractional coordinates of all 8 atoms:
Mg  0.000  0.000  0.000
Mg  0.000  0.073  0.442
Mg  0.000  0.442  0.073
Mg  0.500  0.292  0.731
Mg  0.500  0.731  0.292
Mg  0.500  0.769  0.769
Si  0.000  0.575  0.575
B  0.500  0.147  0.147

## Properties
- DFT formation energy (eV per atom) = 0.20

---

Question: DFT formation energy of number 2 (TiCrCuS4)?
Answer: -1.09 eV per atom